Record 1
24
Lattice="7.574 0.000 0.000 0.000 5.336 0.000 -1.151 0.000 7.388" Properties=species:S:1:pos:R:3 comment="r2SCAN DySbO4, relaxed" space_group="P2_1/c (14)" pbc="T T T"
Dy 0.646 1.203 2.884
Dy 0.070 1.465 6.578
Dy 6.352 3.871 0.810
Dy 5.776 4.133 4.504
Sb 2.326 3.901 1.429
Sb 1.750 4.102 5.123
Sb 4.672 1.233 2.265
Sb 4.096 1.435 5.959
O 0.663 2.789 1.288
O 0.087 5.214 4.982
O 1.196 0.047 0.886
O 0.621 2.620 4.580
O 1.416 3.310 6.939
O 1.992 4.693 3.245
O 2.354 0.498 5.962
O 2.930 2.170 2.268
O 3.492 3.166 5.120
O 4.068 4.838 1.426
O 4.431 0.643 4.144
O 5.006 2.025 0.450
O 5.802 2.715 2.808
O 5.226 5.288 6.502
O 6.335 0.122 2.406
O 5.759 2.546 6.100



Record 2
40
Lattice="-5.378 5.378 5.378 5.378 -5.378 5.378 5.378 5.378 -5.378" Properties=species:S:1:pos:R:3 comment="r2SCAN Dy3Sb5O12, relaxed" space_group="I-43m (217)" pbc="T T T"
Dy 5.378 2.689 0.000
Dy 5.378 0.000 2.689
Dy 2.689 5.378 0.000
Dy 2.689 0.000 5.378
Dy 0.000 5.378 2.689
Dy 0.000 2.689 5.378
Sb 2.603 2.603 -2.603
Sb 3.027 0.000 0.000
Sb 2.603 -2.603 2.603
Sb 7.729 0.000 0.000
Sb 0.000 3.027 0.000
Sb 0.000 0.000 3.027
Sb -2.603 2.603 2.603
Sb 2.775 2.775 2.775
Sb 0.000 7.729 0.000
Sb 0.000 0.000 7.729
O 4.262 1.081 -1.081
O 4.262 -1.081 1.081
O 7.110 1.494 -1.494
O 7.110 -1.494 1.494
O 3.884 3.884 -1.732
O 3.884 -1.732 3.884
O 6.494 1.081 1.081
O 3.646 1.494 1.494
O 1.081 4.262 -1.081
O 1.081 -1.081 4.262
O 1.494 3.646 1.494
O 1.494 1.494 3.646
O -1.081 4.262 1.081
O -1.081 1.081 4.262
O 4.297 4.297 1.116
O 4.297 1.116 4.297
O 1.494 7.110 -1.494
O 1.494 -1.494 7.110
O 1.081 6.494 1.081
O 1.081 1.081 6.494
O -1.732 3.884 3.884
O 1.116 4.297 4.297
O -1.494 7.110 1.494
O -1.494 1.494 7.110



Record 3
5
Lattice="3.824 0.000 0.000 -1.912 3.311 0.000 0.000 0.000 6.789" Properties=species:S:1:pos:R:3 comment="r2SCAN Dy2SeO2, relaxed" space_group="P-3m1 (164)" pbc="T T T"
Dy 0.000 2.208 1.977
Dy 1.912 1.104 4.812
Se 0.000 0.000 0.000
O 0.000 2.208 4.245
O 1.912 1.104 2.544



Record 4
34
Lattice="3.524 -5.735 0.000 3.524 5.735 0.000 -3.513 0.000 10.602" Properties=species:S:1:pos:R:3 comment="r2SCAN Dy2Se3O12, relaxed" space_group="C2/c (15)" pbc="T T T"
Dy 0.905 1.433 0.992
Dy -0.851 -1.433 6.292
Dy 4.385 1.433 4.309
Dy 2.629 -1.433 9.610
Se 2.645 4.220 2.650
Se 0.854 1.374 4.495
Se -0.903 -1.374 9.795
Se 4.436 1.374 0.806
Se 2.680 -1.374 6.107
Se 0.889 -4.220 7.951
O 1.326 3.341 2.243
O 3.044 5.136 1.303
O 2.246 5.136 3.998
O 0.520 3.494 6.428
O 3.064 2.287 0.456
O 1.222 0.619 3.072
O 0.525 0.390 5.760
O 1.257 3.494 9.474
O 2.226 2.287 4.844
O -0.535 -0.619 8.373
O 2.282 -0.390 0.459
O 3.964 3.341 3.057
O -0.430 -3.341 7.544
O 1.252 0.390 10.142
O 4.069 0.619 2.229
O 1.308 -2.287 5.757
O 2.277 -3.494 1.127
O 3.008 -0.390 4.841
O 2.312 -0.619 7.530
O 0.470 -2.287 10.145
O 3.014 -3.494 4.174
O 1.288 -5.136 6.604
O 0.489 -5.136 9.299
O 2.208 -3.341 8.358



Record 5
68
Lattice="13.146 0.000 0.000 0.000 9.610 0.000 0.000 0.000 9.673" Properties=species:S:1:pos:R:3 comment="r2SCAN Dy2Se3O12, relaxed" space_group="Pbcn (60)" pbc="T T T"
Dy 1.584 2.401 0.376
Dy 1.584 7.209 5.213
Dy 4.989 2.404 5.213
Dy 4.989 7.206 0.376
Dy 8.157 2.404 9.297
Dy 8.157 7.206 4.461
Dy 11.562 2.401 4.461
Dy 11.562 7.209 9.297
Se 0.000 0.317 7.255
Se 0.000 9.293 2.418
Se 1.924 3.823 3.724
Se 1.924 5.787 8.561
Se 4.649 0.982 8.561
Se 4.649 8.628 3.724
Se 6.573 4.488 2.418
Se 6.573 5.122 7.255
Se 8.497 0.982 5.949
Se 8.497 8.628 1.113
Se 11.222 3.823 1.113
Se 11.222 5.787 5.949
O 0.397 3.289 3.996
O 0.397 6.321 8.832
O 0.795 1.267 8.324
O 0.795 8.343 3.487
O 1.101 0.621 1.645
O 1.101 8.990 6.482
O 1.985 4.158 8.726
O 1.985 5.452 3.889
O 2.391 3.433 2.200
O 2.391 6.177 7.036
O 2.921 3.120 4.822
O 2.921 6.490 9.659
O 3.652 1.685 9.659
O 3.652 7.925 4.822
O 4.182 1.372 7.036
O 4.182 8.238 2.200
O 4.588 0.647 3.889
O 4.588 8.963 8.726
O 5.472 4.184 6.482
O 5.472 5.426 1.645
O 5.778 3.538 3.487
O 5.778 6.073 8.324
O 6.176 1.516 8.832
O 6.176 8.094 3.996
O 6.970 1.516 5.678
O 6.970 8.094 0.841
O 7.368 3.538 1.350
O 7.368 6.073 6.187
O 7.674 4.184 8.028
O 7.674 5.426 3.191
O 8.558 0.647 0.948
O 8.558 8.963 5.784
O 8.964 1.372 7.474
O 8.964 8.238 2.637
O 9.494 1.685 4.851
O 9.494 7.925 0.015
O 10.225 3.120 0.015
O 10.225 6.490 4.851
O 10.755 3.433 2.637
O 10.755 6.177 7.474
O 11.161 4.158 5.784
O 11.161 5.452 0.948
O 12.045 0.621 3.191
O 12.045 8.990 8.028
O 12.351 1.267 6.187
O 12.351 8.343 1.350
O 12.749 3.289 0.841
O 12.749 6.321 5.678



Record 6
32
Lattice="7.211 -3.354 0.000 7.211 3.354 0.000 -5.538 0.000 8.790" Properties=species:S:1:pos:R:3 comment="r2SCAN Dy2SiO5, relaxed" space_group="C2/c (15)" pbc="T T T"
Dy -2.588 0.850 7.332
Dy 3.716 1.712 4.706
Dy 0.181 -0.850 2.937
Dy 2.399 1.712 8.479
Dy 6.485 -1.712 0.311
Dy 8.702 0.850 5.853
Dy 5.168 -1.712 4.084
Dy 11.471 -0.850 1.458
Si 0.769 0.613 6.074
Si 3.538 -0.613 1.679
Si 5.345 0.613 7.111
Si 8.114 -0.613 2.716
O -0.796 0.980 5.927
O 6.383 2.706 0.891
O 1.731 1.942 5.984
O 5.270 2.706 3.504
O 3.996 0.438 0.521
O 4.383 1.942 7.201
O 1.973 -0.980 1.532
O 1.227 -0.438 4.916
O 3.957 0.012 3.129
O 1.188 -0.012 7.524
O 7.695 0.012 1.266
O 4.926 -0.012 5.661
O 7.657 0.438 3.874
O 6.910 0.980 7.258
O 4.500 -1.942 1.589
O 4.888 -0.438 8.269
O 3.614 -2.706 5.286
O 7.152 -1.942 2.806
O 2.501 -2.706 7.899
O 9.679 -0.980 2.863



Record 7
22
Lattice="0.000 5.197 5.197 5.197 0.000 5.197 5.197 5.197 0.000" Properties=species:S:1:pos:R:3 comment="r2SCAN Dy2Sn2O7, relaxed" space_group="Fd-3m (227)" pbc="T T T"
Dy 0.000 0.000 0.000
Dy 2.598 2.598 0.000
Dy 2.598 0.000 2.598
Dy 0.000 2.598 2.598
Sn 5.197 2.598 2.598
Sn 2.598 5.197 2.598
Sn 2.598 2.598 5.197
Sn 5.197 5.197 5.197
O 1.299 1.299 1.299
O 3.898 3.898 1.682
O 3.898 1.682 3.898
O 6.113 3.898 3.898
O 6.496 6.496 4.280
O 6.496 4.280 6.496
O 8.712 6.496 6.496
O 1.682 3.898 3.898
O 3.898 6.113 3.898
O 3.898 3.898 6.113
O 4.280 6.496 6.496
O 6.496 8.712 6.496
O 6.496 6.496 8.712
O 9.094 9.094 9.094



Record 8
28
Lattice="10.059 0.000 0.000 0.000 3.410 0.000 0.000 0.000 11.904" Properties=species:S:1:pos:R:3 comment="r2SCAN SrDy2O4, relaxed" space_group="Pnma (62)" pbc="T T T"
Sr 2.492 0.852 1.779
Sr 2.537 2.557 7.731
Sr 7.521 0.852 4.173
Sr 7.566 2.557 10.125
Dy 0.768 0.852 10.582
Dy 0.786 0.852 4.622
Dy 4.243 2.557 10.575
Dy 4.261 2.557 4.630
Dy 5.798 0.852 7.275
Dy 5.816 0.852 1.330
Dy 9.272 2.557 7.282
Dy 9.290 2.557 1.322
O 0.140 2.557 9.329
O 0.744 0.852 6.878
O 1.269 2.557 0.232
O 2.132 2.557 3.867
O 2.897 0.852 9.820
O 3.760 0.852 6.184
O 4.286 2.557 0.925
O 4.890 0.852 3.376
O 5.169 2.557 8.528
O 5.773 0.852 10.979
O 6.299 2.557 5.720
O 7.161 2.557 2.085
O 7.926 0.852 8.037
O 8.789 0.852 11.673
O 9.315 2.557 5.027
O 9.919 0.852 2.576



Record 9
22
Lattice="0.000 5.047 5.047 5.047 0.000 5.047 5.047 5.047 0.000" Properties=species:S:1:pos:R:3 comment="r2SCAN Dy2Ti2O7, relaxed" space_group="Fd-3m (227)" pbc="T T T"
Dy 0.000 0.000 0.000
Dy 2.524 2.524 0.000
Dy 2.524 0.000 2.524
Dy 0.000 2.524 2.524
Ti 5.047 2.524 2.524
Ti 2.524 5.047 2.524
Ti 2.524 2.524 5.047
Ti 5.047 5.047 5.047
O 1.262 1.262 1.262
O 3.785 3.785 1.714
O 3.785 1.714 3.785
O 5.856 3.785 3.785
O 6.309 6.309 4.238
O 6.309 4.238 6.309
O 8.380 6.309 6.309
O 1.714 3.785 3.785
O 3.785 5.856 3.785
O 3.785 3.785 5.856
O 4.238 6.309 6.309
O 6.309 8.380 6.309
O 6.309 6.309 8.380
O 8.833 8.833 8.833



Record 10
32
Lattice="10.346 0.000 0.000 0.000 3.679 0.000 0.000 0.000 11.246" Properties=species:S:1:pos:R:3 comment="r2SCAN Dy2TiO5, relaxed" space_group="Pnma (62)" pbc="T T T"
Dy 1.190 0.920 2.509
Dy 1.409 0.920 6.256
Dy 3.764 2.759 0.634
Dy 3.983 2.759 8.132
Dy 6.363 0.920 3.114
Dy 6.582 0.920 10.612
Dy 8.938 2.759 4.989
Dy 9.156 2.759 8.737
Ti 1.807 0.920 9.902
Ti 3.366 2.759 4.280
Ti 6.980 0.920 6.966
Ti 8.539 2.759 1.343
O 0.071 0.920 9.507
O 0.072 2.759 6.806
O 2.315 0.920 0.484
O 2.460 2.759 9.933
O 2.517 2.759 2.574
O 2.656 0.920 8.197
O 2.713 0.920 4.311
O 2.858 2.759 6.107
O 5.101 0.920 1.183
O 5.102 2.759 3.884
O 5.244 0.920 7.362
O 5.245 2.759 10.063
O 7.488 0.920 5.139
O 7.633 2.759 6.935
O 7.690 2.759 3.049
O 7.829 0.920 8.672
O 7.886 0.920 1.312
O 8.031 2.759 10.761
O 10.274 0.920 4.440
O 10.275 2.759 1.739



Record 11
44
Lattice="7.479 0.000 0.000 0.000 5.308 0.000 -1.900 0.000 12.925" Properties=species:S:1:pos:R:3 comment="r2SCAN Dy2Ti2O7, relaxed" space_group="P2_1 (4)" pbc="T T T"
Dy 0.939 0.000 0.821
Dy 0.944 2.194 5.471
Dy 0.931 4.721 8.171
Dy 0.967 2.244 11.454
Dy 4.612 4.898 1.471
Dy 4.648 2.067 4.754
Dy 4.634 4.848 7.454
Dy 4.639 2.654 12.105
Ti -0.957 2.174 8.033
Ti -1.026 4.913 10.605
Ti 2.742 2.315 2.233
Ti 2.799 4.826 4.840
Ti 2.779 2.173 8.085
Ti 2.837 4.969 10.692
Ti 6.605 2.259 2.321
Ti 6.535 4.828 4.892
O -1.220 0.407 8.777
O -0.559 3.629 6.775
O -1.173 1.088 11.731
O -0.433 3.172 9.467
O -0.725 3.762 12.038
O 0.937 1.674 2.400
O 0.926 5.260 4.968
O 0.916 1.574 7.634
O 0.913 0.111 10.399
O 2.516 3.924 1.514
O 2.987 1.231 0.684
O 2.548 3.049 4.167
O 2.402 3.615 6.799
O 2.241 3.178 9.507
O 3.337 0.524 3.418
O 3.177 0.961 6.127
O 3.031 0.395 8.759
O 2.592 3.884 12.242
O 3.063 1.270 11.411
O 4.666 2.765 2.526
O 4.663 4.228 5.291
O 4.653 2.606 7.957
O 4.642 4.328 10.525
O 6.304 1.108 0.887
O 6.012 0.518 3.459
O 6.751 3.742 1.194
O 6.138 0.975 6.151
O 6.798 3.061 4.149



| no. | DFT total energy (eV for the cell shown) | formation energy (eV/atom) |
| --- | --- | --- |
| 1 | -390.8 | -2.686 |
| 2 | -690.9 | -2.465 |
| 3 | -107.6 | -3.469 |
| 4 | -415.1 | -1.705 |
| 5 | -832.3 | -1.736 |
| 6 | -528.7 | -3.697 |
| 7 | -373.9 | -2.879 |
| 8 | -514.7 | -3.667 |
| 9 | -344.0 | -3.668 |
| 10 | -547.8 | -3.772 |
| 11 | -688.4 | -3.677 |